Record 1
Below is crystalline Sr3Li6Ta2O11 at its relaxed geometry, with properties calculated at the PBE level.

## Properties
The total magnetic moment is 0.0 μB/f.u. The value obtained for the energy with MP2020 corrections is -7.243 eV per atom.

Cell and atoms, written as POSCAR:
```
Sr3Li6Ta2O11
1.0
5.8790 0.0000 0.0000
0.0000 8.4325 0.0000
0.0000 0.0000 10.6796
Sr Li Ta O
6 12 4 22
Cartesian
3.6259 0.0000 8.0097
2.2531 0.0000 2.6699
2.9395 2.2190 5.3398
2.9395 6.2136 5.3398
2.9395 6.2136 0.0000
2.9395 2.2190 0.0000
4.5940 2.6693 8.0097
1.2850 5.7633 2.6699
4.5940 5.7633 8.0097
1.2850 2.6693 2.6699
0.0000 2.9925 5.3398
0.0000 5.4400 5.3398
0.0000 5.4400 0.0000
0.0000 2.9925 0.0000
0.8712 1.2310 8.0097
5.0078 7.2015 2.6699
0.8712 7.2015 8.0097
5.0078 1.2310 2.6699
1.5579 4.2163 8.0097
4.3211 4.2163 2.6699
0.0000 0.0000 5.3398
0.0000 0.0000 0.0000
1.4904 4.2163 5.9961
4.3887 4.2163 4.6835
1.4904 4.2163 10.0234
4.3887 4.2163 0.6563
1.6501 0.0000 6.4812
4.2290 0.0000 4.1984
1.6501 0.0000 9.5382
4.2290 0.0000 1.1414
0.7811 1.4584 1.1774
5.0980 6.9741 9.5022
0.7811 6.9741 4.1624
5.0980 1.4584 9.5022
5.0980 1.4584 6.5172
0.7811 6.9741 1.1774
5.0980 6.9741 6.5172
0.7811 1.4584 4.1624
2.5376 2.5435 8.0097
3.3414 5.8890 2.6699
2.5376 5.8890 8.0097
3.3414 2.5435 2.6699
5.5600 4.2163 8.0097
0.3191 4.2163 2.6699
```

=====

Record 2
Below is crystalline Sr3LiRuO6 at its relaxed geometry, with properties calculated at the PBE level.

## Properties
The total magnetic moment is 3.0 μB/f.u. The value obtained for the energy with MP2020 corrections is -6.759 eV per atom.

Cell and atoms, written as POSCAR:
```
Sr3LiRuO6
1.0
4.6795 -4.8695 0.0000
4.6795 4.8695 0.0000
-0.3876 0.0000 6.7423
Sr Li Ru O
6 2 2 12
Cartesian
6.9224 -1.3800 1.6856
3.6708 -1.7448 6.0121
3.8646 -3.1247 2.6409
5.3006 1.7448 0.7302
2.0491 1.3800 5.0568
5.1068 3.1247 4.1014
2.2429 0.0000 1.6856
6.7286 0.0000 5.0568
0.0000 0.0000 0.0000
4.4857 0.0000 3.3712
5.5433 -1.5961 3.9283
4.2360 -4.2359 4.8524
7.6422 0.9626 0.3201
3.2343 3.2733 6.1852
6.2025 0.9626 3.0511
4.5416 0.6335 5.2612
2.7689 -0.9626 3.6912
4.4298 -0.6335 1.4812
5.7371 -3.2733 0.5571
1.3292 -0.9626 6.4223
4.7354 4.2359 1.8900
3.4281 1.5961 2.8140
```

=====

Record 3
Below is crystalline EuYAl4 at its relaxed geometry, with properties calculated at the PBE level.

## Properties
The total magnetic moment is 7.3 μB/f.u.

Cell and atoms, written as POSCAR:
```
EuYAl4
1.0
3.5352 4.3785 -0.2589
-4.2403 -0.4184 -3.6852
-1.7752 5.1436 1.4587
Eu Y Al
1 1 4
Cartesian
-2.7441 5.7332 -1.7993
0.0000 0.0000 0.0000
-0.4934 7.6288 -0.2983
-1.3699 2.8673 -0.8994
-3.4928 2.6578 -2.7444
0.3954 5.0536 -1.0286
```

=====

Record 4
Below is crystalline Gd2Tl at its relaxed geometry, with properties calculated at the PBE level.

Cell and atoms, written as POSCAR:
```
Gd2Tl
1.0
-1.0779 5.1895 -1.3681
-0.6653 -1.6614 5.1731
6.4603 1.7053 1.3786
Gd Tl
4 2
Cartesian
4.0423 1.9012 4.0267
0.0000 0.0000 0.0000
3.2301 0.8527 0.6893
0.6747 3.3322 1.1570
3.9048 4.1848 1.8462
0.8122 1.0485 3.3374
```

=====

no.,DFT formation energy (meV per atom),uncorrected energy (Ry/atom)
1,-2940,-0.507
2,-2583,-0.469
3,-445,-0.421
4,-310,-0.770